(1)
This record from the Materials Project database describes ZnAs2WO7 after structural relaxation. The functional is PBE+U.

As for the energy of formation from the pure elements: -1.713 eV/atom.

```
ZnAs2WO7
1.0
-3.4424 -7.8415 3.1411
5.1651 -4.3845 -5.2850
9.9206 -3.4744 2.1985
As O Zn W
8 28 4 4
Cartesian
-0.5697 -2.9128 0.8005
7.7144 -10.9934 1.4438
8.7420 -6.7797 -0.1556
4.9297 -3.4221 1.4079
6.7137 -12.2784 -1.3533
2.9014 -8.9207 0.2101
3.9290 -4.7070 -1.3892
12.2130 -12.7876 -0.7459
5.1844 -3.7391 -0.3337
11.7954 -7.0361 -3.4704
7.9840 -6.2889 -2.3346
-0.1520 -8.6643 3.5249
6.2259 -7.1723 3.3306
5.2739 -5.1225 2.0496
5.3223 -5.6967 -2.3829
3.4680 -3.1941 -2.3283
6.3211 -10.0038 2.4374
9.6909 -10.3989 -0.1354
10.6968 -13.7570 -0.3182
6.3695 -10.5779 -1.9950
4.4568 -7.9407 0.1506
0.9466 -1.9434 0.3727
3.6593 -9.4115 2.3891
10.1223 -7.7990 -1.1374
7.1866 -7.7598 -0.0960
5.4175 -8.5281 -3.2760
12.4227 -9.2143 -0.7593
8.1754 -12.5064 2.3828
1.5211 -7.9014 1.1919
2.3572 -8.2684 -1.4944
3.5188 -11.4223 -0.1288
8.1246 -4.2781 0.1834
9.2862 -7.4320 1.5490
1.9524 -5.3015 0.1900
6.4589 -11.9613 0.3882
-0.7793 -6.4861 0.8139
5.7069 -7.8261 -1.4446
5.9365 -7.8743 1.4991
12.0229 -6.4751 -1.5824
-0.3795 -9.2253 1.6370
10.7753 -9.6400 -1.3070
4.7037 -10.3596 3.4871
6.9397 -5.3408 -3.4325
0.8680 -6.0605 1.3616
```

(2)
This record from the Materials Project database describes Zn3As4W3O16 after structural relaxation. The functional is PBE+U.

As for the energy of formation from the pure elements: -1.645 eV/atom.

```
Zn3As4W3O16
1.0
5.2526 0.0000 0.0000
0.0000 10.1366 0.0000
0.0000 5.0123 15.1016
As O Zn W
8 32 6 6
Cartesian
2.2581 10.2905 2.5800
0.3682 12.7967 10.1308
1.7516 5.6389 5.9447
4.3780 7.0039 1.6061
3.5010 9.5100 9.1569
2.9945 4.8584 12.5216
0.8747 8.1450 13.4955
4.8845 2.3522 4.9708
1.5669 9.3873 4.3738
1.1999 9.5129 1.5167
4.1659 3.9057 0.5116
4.1933 3.2555 3.1770
1.3230 1.9216 2.7424
4.0528 5.6360 13.5849
3.8262 3.1299 6.0341
1.5396 8.7370 7.0392
1.1647 6.7028 9.0231
1.0867 11.2432 14.5900
3.7131 6.4119 8.0624
1.3033 4.4277 10.2932
1.7416 4.5689 7.3808
1.2236 4.5489 4.6920
3.9296 13.2273 12.3592
4.2522 1.2052 1.3347
1.0004 13.9436 13.7669
3.9494 10.7212 4.8084
1.0594 11.8934 11.9246
3.8500 8.0938 2.8588
4.3679 8.0738 0.1700
1.4027 7.0551 12.2428
3.7910 10.9523 13.6293
1.4265 12.0190 9.0675
0.8847 7.0751 14.9316
4.0879 8.4461 6.0785
3.5110 10.5799 7.7208
3.6268 3.7114 8.8855
3.6857 5.7616 10.7278
1.4616 4.1966 1.4723
1.6259 11.4375 6.2161
4.0290 10.6000 10.4096
2.6263 2.5062 7.5508
2.9714 11.4242 11.8274
4.9075 8.9181 4.2766
0.0000 0.0000 0.0000
2.2812 3.7247 3.2742
0.3451 6.2308 10.8250
0.0000 7.5744 7.5508
2.6856 5.2508 9.1122
5.1933 2.7447 1.5614
2.6263 5.0683 0.0000
2.5670 9.8981 5.9894
0.0593 12.4042 13.5402
```

(3)
This record from the Materials Project database describes Na2CoAuF6 after structural relaxation. The functional is PBE+U.

As for the energy of formation from the pure elements: -2.024 eV/atom.

```
Na2CoAuF6
1.0
-1.0388 4.4185 3.8542
-0.0757 -1.1083 5.8501
4.3975 2.0194 3.4700
Au F Co Na
1 6 1 2
Cartesian
1.6415 2.6648 6.5871
0.1630 3.6322 5.0796
3.1617 2.3088 4.8678
0.6943 0.5836 6.1806
3.1199 1.6975 8.0946
2.5887 4.7461 6.9937
0.1213 3.0208 8.3065
0.0000 0.0000 0.0000
2.4622 3.9972 9.8807
0.8207 1.3324 3.2936
```

(4)
This record from the Materials Project database describes Rb2CoAuF6 after structural relaxation. The functional is PBE+U.

As for the energy of formation from the pure elements: -2.164 eV/atom.

```
Rb2CoAuF6
1.0
-5.3958 0.6255 -2.9405
-5.2525 -1.6507 2.7998
-4.0230 4.3217 1.8141
Co Rb F Au
1 2 6 1
Cartesian
0.0000 0.0000 0.0000
-11.0035 2.4724 1.2551
-3.6678 0.8241 0.4184
-6.2730 1.0880 -1.2324
-5.5210 3.1128 1.3721
-8.4768 3.4554 -0.2387
-9.1503 0.1837 0.3013
-6.1945 -0.1589 1.9121
-8.3983 2.2085 2.9059
-7.3357 1.6482 0.8367
```